Below is a geometry-optimized SrTaNO2 structure, with properties calculated at the PBE level.

The space group is C2 (No. 5) and the conventional cell measures 8.182, 8.031 and 8.192 Å, with angles of 90.00, 90.21 and 90.00 degrees. The distinct sites, in fractional coordinates, are Sr at (0.005, 0.000, 0.250), Sr at (0.006, 0.502, 0.250), Ta at (0.241, 0.250, 0.008), Ta at (0.242, 0.751, 0.509), N at (0.000, 0.227, 0.000), N at (0.000, 0.771, 0.500), N at (0.249, 0.272, 0.250), O at (0.000, 0.222, 0.500), O at (0.000, 0.775, 0.000), O at (0.225, 0.498, 0.524), O at (0.225, 0.500, 0.976) and O at (0.248, 0.723, 0.250).

Its total energy is -8.755 eV/atom. Its energy relative to the elements is -13.37 eV per formula unit. The magnetization is 0.00 μB/cell. Its maximum piezoelectric response is 6.6 C/m2.